(1)
Computed, not measured: crystalline BiP4NO12 at its relaxed geometry at the PBE level of DFT.

a b c (Å): 10.5248 9.0873 12.9416
angles (deg): 90.00 124.98 90.00
Fractional coordinates of all 72 atoms:
Bi: 0.1904 0.2200 0.1896
Bi: 0.1904 0.2800 0.6896
Bi: 0.8096 0.7200 0.3104
Bi: 0.8096 0.7800 0.8104
P: 0.1155 0.5909 0.2590
P: 0.1155 0.9091 0.7590
P: 0.1793 0.6750 0.6378
P: 0.1793 0.8250 0.1378
P: 0.3034 0.1065 0.9806
P: 0.3034 0.3935 0.4806
P: 0.4768 0.5282 0.7276
P: 0.4768 0.9718 0.2276
P: 0.5232 0.0282 0.7724
P: 0.5232 0.4718 0.2724
P: 0.6966 0.6065 0.5194
P: 0.6966 0.8935 0.0194
P: 0.8207 0.1750 0.8622
P: 0.8207 0.3250 0.3622
P: 0.8845 0.0909 0.2410
P: 0.8845 0.4091 0.7410
N: 0.2603 0.5681 0.9553
N: 0.2603 0.9319 0.4553
N: 0.7397 0.0681 0.5447
N: 0.7397 0.4319 0.0447
O: 0.0153 0.1781 0.2565
O: 0.0153 0.3219 0.7565
O: 0.0694 0.0414 0.6734
O: 0.0694 0.4586 0.1734
O: 0.0730 0.7370 0.5070
O: 0.0730 0.7630 0.0070
O: 0.1312 0.5378 0.6724
O: 0.1312 0.9622 0.1724
O: 0.1946 0.1530 0.0145
O: 0.1946 0.3470 0.5145
O: 0.2227 0.7002 0.2418
O: 0.2227 0.7998 0.7418
O: 0.2392 0.5472 0.4030
O: 0.2392 0.9528 0.9030
O: 0.3420 0.2120 0.9133
O: 0.3420 0.2880 0.4133
O: 0.3476 0.6574 0.6641
O: 0.3476 0.8426 0.1641
O: 0.3660 0.0974 0.6933
O: 0.3660 0.4026 0.1933
O: 0.4352 0.0828 0.2903
O: 0.4352 0.4172 0.7903
O: 0.4613 0.0453 0.1058
O: 0.4613 0.4547 0.6058
O: 0.5387 0.5453 0.3942
O: 0.5387 0.9547 0.8942
O: 0.5648 0.5828 0.2097
O: 0.5648 0.9172 0.7097
O: 0.6340 0.5974 0.8067
O: 0.6340 0.9026 0.3067
O: 0.6524 0.1574 0.8359
O: 0.6524 0.3426 0.3359
O: 0.6580 0.7120 0.5867
O: 0.6580 0.7880 0.0867
O: 0.7608 0.0472 0.0970
O: 0.7608 0.4528 0.5970
O: 0.7773 0.2002 0.2582
O: 0.7773 0.2998 0.7582
O: 0.8054 0.6530 0.4855
O: 0.8054 0.8470 0.9855
O: 0.8688 0.0378 0.8276
O: 0.8688 0.4622 0.3276
O: 0.9270 0.2370 0.9930
O: 0.9270 0.2630 0.4930
O: 0.9306 0.5414 0.8266
O: 0.9306 0.9586 0.3266
O: 0.9847 0.6781 0.2435
O: 0.9847 0.8219 0.7435

ΔE_f: -1.96 eV/atom
space-group type: No. 14
total magnetic moment: 8.00 μB/cell
volume: 14.09 Å³/atom

(2)
Computed, not measured: crystalline Pr2BiN at its relaxed geometry at the PBE level of DFT.

a b c (Å): 4.7847 4.7847 9.4941
angles (deg): 90.00 90.00 90.00
Fractional coordinates of all 8 atoms:
Pr: 0.2500 0.2500 0.1746
Pr: 0.2500 0.7500 0.5000
Pr: 0.7500 0.2500 0.5000
Pr: 0.7500 0.7500 0.8254
Bi: 0.2500 0.2500 0.8052
Bi: 0.7500 0.7500 0.1948
N: 0.2500 0.2500 0.4172
N: 0.7500 0.7500 0.5828

ΔE_f: -1.22 eV/atom
space-group type: No. 129
volume: 27.17 Å³/atom